A relaxed structure of InAsH4O6. Source: the Materials Project database, functional PBE-GGA.

## Properties
Crystal system   orthorhombic
Energy above the most stable polymorph in this dataset   0.0 kJ/mol of atoms
Calculated total energy   -5.4451 eV per atom
Calculated volume   1042 Å³/cell
Calculated formation energy   -1.57 eV per atom
SG   Pbca

POSCAR file:
```
InAsH4O6
1.0
-9.198 0.000 0.000
0.000 0.000 -10.494
0.000 -10.798 0.000
In As H O
8 8 32 48
Cartesian
-3.244 -6.756 -8.552
-7.843 -4.042 -7.189
-5.955 -9.441 -3.305
-1.355 -1.357 -1.942
-5.955 -4.042 -1.942
-1.355 -6.756 -3.305
-3.244 -1.357 -7.189
-7.843 -9.441 -8.552
-0.321 -7.067 -6.621
-4.920 -3.731 -9.121
-8.877 -9.130 -1.374
-4.278 -1.668 -3.874
-8.877 -3.731 -3.874
-4.278 -7.067 -1.374
-0.321 -1.668 -9.121
-4.920 -9.130 -6.621
-1.221 -10.416 -6.208
-5.820 -0.382 -9.533
-7.977 -5.781 -0.961
-3.378 -5.017 -4.286
-7.977 -0.382 -4.286
-3.378 -10.416 -0.961
-1.221 -5.017 -9.533
-5.820 -5.781 -6.208
-1.836 -0.572 -5.035
-6.435 -10.226 -0.212
-7.362 -4.827 -10.282
-2.763 -5.971 -5.459
-7.362 -10.226 -5.459
-2.763 -0.572 -10.282
-1.836 -5.971 -0.212
-6.435 -4.827 -5.035
-2.925 -3.978 -7.090
-7.524 -6.820 -8.652
-6.273 -1.421 -1.843
-1.674 -9.377 -3.404
-6.273 -6.820 -3.404
-1.674 -3.978 -1.843
-2.925 -9.377 -8.652
-7.524 -1.421 -7.090
-1.597 -3.486 -6.210
-6.196 -7.312 -9.532
-7.601 -1.913 -0.963
-3.002 -8.885 -4.285
-7.601 -7.312 -4.285
-3.002 -3.486 -0.963
-1.597 -8.885 -9.532
-6.196 -1.913 -6.210
-0.171 -8.677 -7.202
-4.771 -2.121 -8.539
-9.027 -7.520 -1.955
-4.428 -3.278 -3.292
-9.027 -2.121 -3.292
-4.428 -8.677 -1.955
-0.171 -3.278 -8.539
-4.771 -7.520 -7.202
-8.435 -6.080 -7.544
-3.836 -4.718 -8.198
-0.763 -10.117 -2.296
-5.362 -0.681 -2.951
-0.763 -4.718 -2.951
-5.362 -6.080 -2.296
-8.435 -0.681 -8.198
-3.836 -10.117 -7.544
-1.952 -6.524 -6.816
-6.551 -4.274 -8.926
-7.246 -9.673 -1.568
-2.647 -1.125 -3.679
-7.246 -4.274 -3.679
-2.647 -6.524 -1.568
-1.952 -1.125 -8.926
-6.551 -9.673 -6.816
-9.120 -6.923 -4.946
-4.521 -3.875 -0.301
-0.078 -9.274 -10.194
-4.677 -1.524 -5.548
-0.078 -3.875 -5.548
-4.677 -6.923 -10.194
-9.120 -1.524 -0.301
-4.521 -9.274 -4.946
-1.526 -0.526 -5.990
-6.125 -10.272 -9.751
-7.672 -4.873 -0.743
-3.073 -5.925 -4.504
-7.672 -10.272 -4.504
-3.073 -0.526 -0.743
-1.526 -5.925 -9.751
-6.125 -4.873 -5.990
-2.555 -3.301 -6.434
-7.154 -7.497 -9.308
-6.643 -2.098 -1.187
-2.044 -8.700 -4.060
-6.643 -7.497 -4.060
-2.044 -3.301 -1.187
-2.555 -8.700 -9.308
-7.154 -2.098 -6.434
```